# UNiGe

A relaxed UNiGe crystal (PBE, Materials Project).

Cell and atoms, written as POSCAR:
```
UNiGe
1.0
2.085 4.905 0.000
-2.085 4.905 0.000
0.000 4.269 5.123
U Ni Ge
2 2 2
Direct
0.449 0.449 0.326
0.551 0.551 0.674
0.837 0.837 0.714
0.163 0.163 0.286
0.164 0.164 0.900
0.836 0.836 0.100
```

V	104.8	Å³/cell
magnetic moment	3.9	μB/cell
crystal system	monoclinic
E_tot	-7.5383	eV/atom